[1]
Entry from Materials Project: a geometry-optimized Na3AuS4O8 structure (PBE).

Cell lengths 5.7463, 10.8704, 18.2651 Å; angles 90.00, 99.86, 90.00 degrees
Space group P2_1/c (No. 14)
Unique sites:
Na1 0.1189 0.1873 0.2891 (multiplicity 4)
Na2 0.1840 0.6072 0.8728 (multiplicity 4)
Na3 0.2930 0.6102 0.0945 (multiplicity 4)
Au1 0.3147 0.0286 0.9277 (multiplicity 4)
S1 0.0787 0.1704 0.9759 (multiplicity 4)
S2 0.2929 0.1571 0.4961 (multiplicity 4)
S3 0.3659 0.0219 0.7455 (multiplicity 4)
S4 0.4095 0.6126 0.3409 (multiplicity 4)
O1 0.0903 0.7086 0.5951 (multiplicity 4)
O2 0.1267 0.5105 0.2053 (multiplicity 4)
O3 0.1901 0.0938 0.5545 (multiplicity 4)
O4 0.1961 0.6987 0.3189 (multiplicity 4)
O5 0.2330 0.0972 0.4222 (multiplicity 4)
O6 0.3885 0.1502 0.7699 (multiplicity 4)
O7 0.4489 0.6765 0.9832 (multiplicity 4)
O8 0.4500 0.0174 0.2979 (multiplicity 4)

Results
Size of the total moment, μB per formula unit: 0.00
Electronic total energy, eV/cell: -333.6
Energy of formation, eV/atom: -1.595

=====

[2]
Entry from Materials Project: a geometry-optimized NaPrAu2 structure (PBE).

Cell lengths 7.2667, 7.2667, 7.2667 Å; angles 90.00, 90.00, 90.00 degrees
Space group Fm-3m (No. 225)
Unique sites:
Na1 0.0000 0.0000 0.0000 (multiplicity 4)
Pr1 0.0000 0.0000 0.5000 (multiplicity 4)
Au1 0.2500 0.2500 0.2500 (multiplicity 8)

Results
Electronic total energy, eV/cell: -60.0
Energy of formation, eV/atom: -0.590

=====

[3]
Entry from Materials Project: a geometry-optimized Na5AuSe12 structure (PBE).

Cell lengths 7.2252, 17.2005, 8.4716 Å; angles 90.00, 106.54, 90.00 degrees
Space group P2_1 (No. 4)
Unique sites:
Na1 0.1212 0.0000 0.1027 (multiplicity 2)
Na2 0.2201 0.7989 0.0177 (multiplicity 2)
Na3 0.2225 0.2143 0.3491 (multiplicity 2)
Na4 0.2932 0.4319 0.5583 (multiplicity 2)
Na5 0.3365 0.6224 0.2868 (multiplicity 2)
Au1 0.2162 0.2111 0.8411 (multiplicity 2)
Se1 0.0097 0.1487 0.5760 (multiplicity 2)
Se2 0.0482 0.3420 0.7532 (multiplicity 2)
Se3 0.0487 0.4068 0.2123 (multiplicity 2)
Se4 0.0965 0.6417 0.9346 (multiplicity 2)
Se5 0.1558 0.0229 0.5641 (multiplicity 2)
Se6 0.2164 0.8099 0.4826 (multiplicity 2)
Se7 0.3121 0.4046 0.0954 (multiplicity 2)
Se8 0.3654 0.6129 0.8320 (multiplicity 2)
Se9 0.3882 0.0815 0.9190 (multiplicity 2)
Se10 0.3944 0.0487 0.4221 (multiplicity 2)
Se11 0.4250 0.2724 0.1062 (multiplicity 2)
Se12 0.4741 0.7888 0.3628 (multiplicity 2)

Results
Electronic total energy, eV/cell: -121.8
Energy of formation, eV/atom: -0.819

=====

[4]
Entry from Materials Project: a geometry-optimized NaSiAu3 structure (PBE).

Cell lengths 9.0704, 9.0704, 9.0704 Å; angles 90.00, 90.00, 90.00 degrees
Space group Pa-3 (No. 205)
Unique sites:
Na1 0.0968 0.0968 0.0968 (multiplicity 8)
Si1 0.1240 0.6240 0.8760 (multiplicity 8)
Au1 0.0955 0.7265 0.1285 (multiplicity 24)

Results
Electronic total energy, eV/cell: -143.4
Energy of formation, eV/atom: -0.272

=====

[5]
Entry from Materials Project: a geometry-optimized NaSmAu2 structure (PBE).

Cell lengths 7.1640, 7.1640, 7.1640 Å; angles 90.00, 90.00, 90.00 degrees
Space group Fm-3m (No. 225)
Unique sites:
Na1 0.0000 0.0000 0.0000 (multiplicity 4)
Sm1 0.0000 0.0000 0.5000 (multiplicity 4)
Au1 0.2500 0.2500 0.2500 (multiplicity 8)

Results
Electronic total energy, eV/cell: -59.9
Energy of formation, eV/atom: -0.594

=====

[6]
Entry from Materials Project: a geometry-optimized Na2Sn3Au structure (PBE).

Cell lengths 9.8241, 9.8241, 7.6065 Å; angles 90.00, 90.00, 120.00 degrees
Space group P6_3/mmc (No. 194)
Unique sites:
Na1 0.0000 0.0000 0.2500 (multiplicity 2)
Na2 0.0640 0.5320 0.2500 (multiplicity 6)
Sn1 0.1711 0.3423 0.5526 (multiplicity 12)
Au1 0.3333 0.6667 0.5419 (multiplicity 4)

Results
Electronic total energy, eV/cell: -78.3
Energy of formation, eV/atom: -0.273

=====

[7]
Entry from Materials Project: a geometry-optimized Na10Sn4Au13 structure (PBE).

Cell lengths 15.2674, 15.3426, 15.3970 Å; angles 90.00, 90.00, 90.00 degrees
Space group Immm (No. 71)
Unique sites:
Na1 0.0000 0.0000 0.1039 (multiplicity 4)
Na2 0.0000 0.0000 0.3131 (multiplicity 4)
Na3 0.0000 0.2929 0.5000 (multiplicity 4)
Na4 0.0000 0.3770 0.2981 (multiplicity 8)
Na5 0.1021 0.5000 0.5000 (multiplicity 4)
Na6 0.1233 0.2020 0.0000 (multiplicity 8)
Na7 0.1899 0.3106 0.1895 (multiplicity 16)
Na8 0.1964 0.0000 0.3803 (multiplicity 8)
Na9 0.2008 0.0000 0.0000 (multiplicity 4)
Sn1 0.0000 0.1893 0.1864 (multiplicity 8)
Sn2 0.1838 0.1846 0.5000 (multiplicity 8)
Sn3 0.1868 0.5000 0.3096 (multiplicity 8)
Au1 0.0000 0.0911 0.5000 (multiplicity 4)
Au2 0.0000 0.3403 0.0964 (multiplicity 8)
Au3 0.0000 0.5000 0.0000 (multiplicity 2)
Au4 0.0952 0.1873 0.3446 (multiplicity 16)
Au5 0.0980 0.5000 0.1591 (multiplicity 8)
Au6 0.1547 0.0961 0.1867 (multiplicity 16)
Au7 0.1624 0.4032 0.0000 (multiplicity 8)
Au8 0.1858 0.3448 0.4041 (multiplicity 16)

Results
Size of the total moment, μB per formula unit: 0.00
Electronic total energy, eV/cell: -489.5
Energy of formation, eV/atom: -0.362

=====

[8]
Entry from Materials Project: a geometry-optimized NaSnAu structure (PBE).

Cell lengths 7.6081, 4.6372, 8.2690 Å; angles 90.00, 90.00, 90.00 degrees
Space group Pnma (No. 62)
Unique sites:
Na1 0.0166 0.2500 0.1729 (multiplicity 4)
Sn1 0.1596 0.2500 0.5619 (multiplicity 4)
Au1 0.2099 0.7500 0.3744 (multiplicity 4)

Results
Electronic total energy, eV/cell: -38.8
Energy of formation, eV/atom: -0.363

=====

- Which of these has the highest electronic total energy?
  NaSnAu